1.
DFT (PBE) results for a relaxed Li3La crystal.

Results
DFT total energy   -9.9 eV for the cell shown
Crystal system   cubic

Unit cell a=5.265 b=5.265 c=5.265 alpha=60.00 beta=60.00 gamma=60.00
Positions (direct):
Li 0.000 0.000 0.000
Li 0.250 0.250 0.250
Li 0.750 0.750 0.750
La 0.500 0.500 0.500



2.
DFT (PBE) results for a relaxed Li5CuP2O8 crystal.

Results
DFT total energy   -197.8 eV for the cell shown
Crystal system   monoclinic
Excess energy over the best structure of this formula in the dataset   0.066 eV per formula unit

Unit cell a=5.384 b=6.155 c=9.981 alpha=90.00 beta=90.10 gamma=90.00
Positions (direct):
Li 0.000 0.000 0.000
Li 0.001 0.000 0.495
Li 0.304 0.500 0.750
Li 0.311 0.500 0.248
Li 0.478 0.252 0.001
Li 0.478 0.748 0.001
Li 0.482 0.254 0.496
Li 0.482 0.746 0.496
Li 0.827 0.245 0.248
Li 0.827 0.755 0.248
Cu 0.813 0.246 0.758
Cu 0.813 0.754 0.758
P 0.328 0.000 0.749
P 0.330 0.000 0.252
P 0.981 0.500 0.010
P 0.984 0.500 0.495
O 0.055 0.000 0.202
O 0.058 0.000 0.692
O 0.251 0.500 0.955
O 0.257 0.500 0.443
O 0.328 0.000 0.905
O 0.336 0.000 0.408
O 0.456 0.210 0.695
O 0.456 0.790 0.695
O 0.466 0.207 0.199
O 0.466 0.793 0.199
O 0.839 0.291 0.964
O 0.839 0.709 0.964
O 0.843 0.293 0.445
O 0.843 0.707 0.445
O 0.982 0.500 0.166
O 0.992 0.500 0.651



3.
DFT (PBE) results for a relaxed HfMg crystal.

Results
DFT total energy   -22.3 eV for the cell shown
Crystal system   orthorhombic

Unit cell a=5.097 b=3.160 c=5.372 alpha=90.00 beta=90.00 gamma=90.00
Positions (direct):
Hf 0.250 0.000 0.183
Hf 0.750 0.000 0.817
Mg 0.250 0.500 0.683
Mg 0.750 0.500 0.317



4.
DFT (PBE) results for a relaxed K5Zn4Sn5H4S17N crystal.

Results
DFT total energy   -148.3 eV for the cell shown
Crystal system   tetragonal

Unit cell a=11.087 b=11.087 c=11.087 alpha=101.24 beta=101.24 gamma=127.61
Positions (direct):
K 0.000 0.000 0.000
K 0.260 0.260 0.520
K 0.260 0.740 0.000
K 0.740 0.260 0.000
K 0.740 0.740 0.480
Zn 0.362 0.226 0.864
Zn 0.362 0.498 0.136
Zn 0.502 0.638 0.864
Zn 0.774 0.638 0.136
Sn 0.056 0.279 0.777
Sn 0.502 0.279 0.223
Sn 0.721 0.498 0.777
Sn 0.721 0.944 0.223
Sn 0.750 0.250 0.500
H 0.189 0.629 0.441
H 0.189 0.748 0.559
H 0.252 0.811 0.441
H 0.371 0.811 0.559
S 0.085 0.080 0.723
S 0.085 0.362 0.006
S 0.232 0.510 0.721
S 0.357 0.080 0.994
S 0.357 0.362 0.277
S 0.467 0.110 0.356
S 0.490 0.211 0.721
S 0.490 0.768 0.279
S 0.500 0.500 0.000
S 0.638 0.643 0.723
S 0.638 0.915 0.994
S 0.754 0.110 0.644
S 0.789 0.510 0.279
S 0.890 0.246 0.356
S 0.890 0.533 0.644
S 0.920 0.643 0.006
S 0.920 0.915 0.277
N 0.250 0.750 0.500



5.
DFT (PBE) results for a relaxed Ca2PdN2 crystal.

Results
DFT total energy   -28.5 eV for the cell shown
Crystal system   tetragonal

Unit cell a=6.852 b=6.852 c=6.852 alpha=149.87 beta=149.87 gamma=43.13
Positions (direct):
Ca 0.155 0.155 0.000
Ca 0.845 0.845 0.000
Pd 0.500 0.500 0.000
N 0.347 0.347 0.000
N 0.653 0.653 0.000



6.
DFT (PBE) results for a relaxed Si crystal.

Results
DFT total energy   -505.9 eV for the cell shown
Crystal system   triclinic
Excess energy over the best structure of this formula in the dataset   0.366 eV per formula unit

Unit cell a=12.182 b=12.226 c=12.677 alpha=104.33 beta=101.17 gamma=99.24
Positions (direct):
Si 0.000 0.000 0.000
Si 0.000 0.879 0.811
Si 0.002 0.457 0.917
Si 0.003 0.860 0.324
Si 0.021 0.912 0.540
Si 0.026 0.679 0.698
Si 0.031 0.642 0.880
Si 0.051 0.260 0.386
Si 0.053 0.208 0.801
Si 0.056 0.816 0.028
Si 0.094 0.735 0.200
Si 0.098 0.462 0.498
Si 0.099 0.086 0.485
Si 0.103 0.025 0.737
Si 0.114 0.627 0.420
Si 0.145 0.139 0.160
Si 0.182 0.826 0.544
Si 0.183 0.080 0.959
Si 0.190 0.442 0.990
Si 0.192 0.377 0.668
Si 0.192 0.977 0.338
Si 0.196 0.440 0.256
Si 0.214 0.299 0.090
Si 0.219 0.757 0.699
Si 0.224 0.186 0.365
Si 0.233 0.881 0.883
Si 0.240 0.896 0.158
Si 0.241 0.692 0.930
Si 0.249 0.307 0.840
Si 0.260 0.700 0.335
Si 0.268 0.196 0.622
Si 0.297 0.576 0.166
Si 0.298 0.513 0.856
Si 0.304 0.077 0.750
Si 0.312 0.394 0.406
Si 0.316 0.901 0.454
Si 0.333 0.083 0.147
Si 0.350 0.462 0.606
Si 0.360 0.755 0.127
Si 0.362 0.662 0.638
Si 0.411 0.653 0.462
Si 0.413 0.294 0.102
Si 0.420 0.194 0.526
Si 0.420 0.246 0.903
Si 0.422 0.804 0.922
Si 0.435 0.001 0.014
Si 0.456 0.155 0.341
Si 0.468 0.996 0.747
Si 0.476 0.524 0.213
Si 0.494 0.026 0.574
Si 0.495 0.469 0.382
Si 0.503 0.558 0.932
Si 0.507 0.813 0.763
Si 0.518 0.388 0.636
Si 0.518 0.818 0.307
Si 0.543 0.743 0.060
Si 0.544 0.445 0.055
Si 0.549 0.322 0.801
Si 0.552 0.829 0.506
Si 0.556 0.114 0.934
Si 0.575 0.021 0.336
Si 0.596 0.261 0.183
Si 0.605 0.066 0.171
Si 0.608 0.615 0.797
Si 0.617 0.322 0.379
Si 0.635 0.638 0.505
Si 0.653 0.817 0.940
Si 0.668 0.780 0.684
Si 0.673 0.084 0.526
Si 0.684 0.767 0.240
Si 0.698 0.215 0.799
Si 0.708 0.477 0.908
Si 0.710 0.437 0.609
Si 0.713 0.022 0.981
Si 0.719 0.383 0.113
Si 0.726 0.797 0.443
Si 0.747 0.582 0.240
Si 0.763 0.270 0.650
Si 0.781 0.520 0.468
Si 0.788 0.221 0.362
Si 0.796 0.069 0.840
Si 0.803 0.565 0.796
Si 0.810 0.769 0.853
Si 0.811 0.084 0.181
Si 0.814 0.609 0.081
Si 0.831 0.991 0.539
Si 0.834 0.922 0.699
Si 0.838 0.341 0.961
Si 0.839 0.907 0.222
Si 0.866 0.793 0.056
Si 0.891 0.730 0.547
Si 0.897 0.408 0.371
Si 0.931 0.168 0.493
Si 0.934 0.676 0.363
Si 0.951 0.475 0.596
Si 0.967 0.201 0.957
Si 0.967 0.309 0.672
Si 0.978 0.220 0.178
Si 0.985 0.544 0.103
Si 0.992 0.424 0.224